Here is an optimized crystal structure of KBePt from the Materials Project. Energies are from PBE.

The space group is F-43m (No. 216) and the conventional cell measures 6.517, 6.517 and 6.517 Å, with angles of 90.00, 90.00 and 90.00 degrees. Symmetry generates all atoms from K at (0.000, 0.000, 0.000), Be at (0.000, 0.000, 0.500) and Pt at (0.250, 0.250, 0.750).

The total energy is -34.8 eV/cell. The value obtained for the volume is 23.07 Å³ per atom. The energy of formation from the pure elements comes out at 71 kJ per mole of atoms. The total moment is 0.0 μB/f.u.